BaMn6O12 | GGA+U | optimized geometry

Results
**Formation energy**: -2.08 eV per atom
**Space group**: C2/m, No. 12
**Electronic total energy**: -275.17 eV/cell
**Energy with MP2020 corrections**: -8.202 eV/atom
**Calculated density**: 4.888 g/cm3

The structure in POSCAR format:
```
BaMn6O12
1.0
4.464 7.039 0.000
-4.464 7.039 0.000
0.000 6.779 7.123
Ba Mn O
2 12 24
direct
0.718 0.282 0.000
0.282 0.718 0.000
0.335 0.335 0.819
0.002 0.670 0.818
0.670 0.002 0.818
0.998 0.330 0.182
0.665 0.665 0.181
0.330 0.998 0.182
0.148 0.148 0.519
0.482 0.814 0.518
0.814 0.482 0.518
0.852 0.852 0.481
0.186 0.518 0.482
0.518 0.186 0.482
0.343 0.343 0.616
0.006 0.673 0.619
0.673 0.006 0.619
0.994 0.327 0.381
0.657 0.657 0.384
0.327 0.994 0.381
0.346 0.346 0.351
0.013 0.677 0.356
0.677 0.013 0.356
0.987 0.323 0.644
0.654 0.654 0.649
0.323 0.987 0.644
0.625 0.290 0.720
0.290 0.625 0.720
0.956 0.956 0.718
0.710 0.375 0.280
0.375 0.710 0.280
0.044 0.044 0.282
0.963 0.627 0.054
0.627 0.963 0.054
0.299 0.299 0.051
0.373 0.037 0.946
0.037 0.373 0.946
0.701 0.701 0.949
```